1.
Entry from Materials Project: an optimized crystal structure of LiY2Rh (GGA-PBE).

abc: 4.9592 4.9592 4.9592
angles: 60.00 60.00 60.00
With the nearest neighbours (Å) after each atom.
Atoms (fractional coordinates):
1 Y 0.2500 0.2500 0.2500  4 Rh 3.04, 4 Li 3.04
2 Y 0.7500 0.7500 0.7500  4 Li 3.04, 4 Rh 3.04
3 Li 0.5000 0.5000 0.5000  8 Y 3.04
4 Rh 0.0000 0.0000 0.0000  8 Y 3.04

Summary:
Crystal system: cubic

2.
Entry from Materials Project: an optimized crystal structure of Ba2Y2Zn8O13 (GGA-PBE).

abc: 6.4580 6.4580 10.3844
angles: 89.71 90.29 119.84
With the nearest neighbours (Å) after each atom.
Atoms (fractional coordinates):
1 Zn 0.3226 0.6774 0.6314  4 O 1.97-2.05
2 O 0.0029 0.5155 0.7221  2 Zn 1.97-2.03
3 Ba 0.8686 0.1314 0.4366  4 O 2.66-2.95
4 Zn 0.6707 0.8460 0.1267  4 O 1.96-2.00
5 Zn 0.5015 0.4985 0.3853  4 O 1.97-2.05
6 O 0.9826 0.0174 0.2125  2 Zn 1.96
7 Zn 0.3440 0.1592 0.6240  4 O 1.97-2.02
8 Y 0.1706 0.8294 0.3118  6 O 2.25-2.36
9 Zn 0.6616 0.3384 0.1619  3 O 1.90-1.93
10 Zn 0.4698 0.5302 0.8680  3 O 1.90-1.94
11 O 0.4906 0.5094 0.1885  4 Zn 1.93-2.05
12 O 0.7131 0.8214 0.9379  2 Zn 1.90-2.00
13 O 0.9933 0.0067 0.6647  2 Zn 2.02, 1 Y 2.11
14 O 0.3330 0.6670 0.4424  2 Zn 1.97-1.98
15 O 0.8407 0.6619 0.4346  2 Zn 1.97
16 O 0.4994 0.5006 0.6845  4 Zn 1.94-2.05
17 Y 0.8543 0.1457 0.8012  5 O 2.11-2.31
18 O 0.1786 0.2869 0.9379  2 Zn 1.90-2.00
19 Ba 0.1563 0.8437 0.9443  6 O 2.79-2.96
20 Zn 0.8408 0.6560 0.6240  4 O 1.97-2.02
21 O 0.4845 0.9971 0.7221  2 Zn 1.97-2.03
22 O 0.4724 0.0008 0.1537  2 Zn 1.90-2.00
23 O 0.3381 0.1593 0.4346  2 Zn 1.97
24 O 0.9992 0.5276 0.1537  2 Zn 1.90-2.00
25 Zn 0.1540 0.3293 0.1267  4 O 1.96-2.00

Summary:
Crystal system: monoclinic

no.,formation energy from the elements (eV per atom),E (eV per atom),mass density (g/cm3)
1,-0.47,-6.02,5.5
2,-2.37,-5.66,5.2